Entry from the Materials Project: an optimized crystal structure of MgFe10O16F4 (GGA+U).

Cell: 4.910 13.078 5.624 Å, 103.67 93.05 87.16°
Positions (direct):
O (0.305, 0.539, 0.412)
O (0.350, 0.753, 0.785)
O (0.688, 0.461, 0.616)
O (0.708, 0.860, 0.411)
O (0.840, 0.871, 0.922)
Fe (0.008, 0.604, 0.213)
O (0.819, 0.468, 0.104)
Fe (0.553, 0.809, 0.086)
Fe (0.429, 0.198, 0.892)
F (0.229, 0.563, 0.914)
O (0.185, 0.945, 0.688)
O (0.723, 0.673, 0.017)
Fe (0.491, 0.993, 0.495)
F (0.669, 0.057, 0.825)
O (0.811, 0.056, 0.300)
O (0.849, 0.672, 0.520)
O (0.282, 0.126, 0.579)
F (0.217, 0.741, 0.291)
Fe (0.022, 0.998, 0.005)
O (0.332, 0.934, 0.174)
Mg (0.320, 0.436, 0.687)
Fe (0.567, 0.622, 0.680)
O (0.103, 0.323, 0.494)
O (0.159, 0.138, 0.083)
Fe (0.020, 0.808, 0.611)
O (0.747, 0.232, 0.702)
F (0.644, 0.263, 0.212)
Fe (0.891, 0.364, 0.802)
O (0.303, 0.352, 0.953)
Fe (0.981, 0.185, 0.405)
Fe (0.534, 0.420, 0.250)

Results
M_tot (μB per cell): 46.22
Theoretical density (g/cm³): 4.338
Calculated formation energy (eV/atom): -1.65
ΔE to the lowest computed polymorph (meV per atom): 53
Uncorrected energy (eV per atom): -6.0900
SG: P1


Entry from the Materials Project: an optimized crystal structure of Li3Fe2P4HO14 (GGA+U).

Cell: 5.118 5.237 12.454 Å, 101.04 89.18 118.70°
Positions (direct):
O (0.912, 0.742, 0.349)
O (0.544, 0.315, 0.477)
O (0.148, 0.779, 0.633)
O (0.146, 0.224, 0.099)
Fe (0.136, 0.937, 0.769)
P (0.464, 0.430, 0.143)
O (0.537, 0.759, 0.113)
Li (0.790, 0.195, 0.999)
O (0.706, 0.362, 0.121)
P (0.536, 0.570, 0.857)
Li (0.210, 0.805, 0.001)
O (0.430, 0.338, 0.274)
Li (0.000, 0.000, 0.500)
O (0.463, 0.241, 0.887)
O (0.852, 0.221, 0.367)
O (0.088, 0.258, 0.651)
H (0.500, 0.500, 0.500)
O (0.294, 0.638, 0.879)
Fe (0.864, 0.063, 0.231)
P (0.706, 0.411, 0.372)
O (0.456, 0.685, 0.523)
P (0.294, 0.589, 0.628)
O (0.854, 0.776, 0.901)
O (0.570, 0.662, 0.726)

Results
M_tot (μB per cell): 0.00
Theoretical density (g/cm³): 2.793
Calculated formation energy (eV/atom): -1.89
ΔE to the lowest computed polymorph (meV per atom): 547
Uncorrected energy (eV per atom): -6.1796
SG: P-1


Entry from the Materials Project: an optimized crystal structure of CoH18C4N8Cl4O4 (GGA+U).

Cell: 11.411 6.501 11.941 Å, 71.64 90.00 90.00°
Positions (direct):
H (0.193, 0.225, 0.739)
Co (0.000, 0.000, 0.500)
H (0.210, 0.795, 0.712)
H (0.507, 0.832, 0.758)
C (0.125, 0.773, 0.151)
C (0.589, 0.748, 0.628)
N (0.508, 0.215, 0.315)
N (0.492, 0.785, 0.685)
C (0.411, 0.252, 0.372)
N (0.797, 0.201, 0.771)
O (0.150, 0.742, 0.055)
Cl (0.501, 0.796, 0.205)
H (0.007, 0.168, 0.742)
H (0.693, 0.775, 0.761)
H (0.768, 0.736, 0.638)
H (0.657, 0.685, 0.486)
Cl (0.138, 0.271, 0.545)
N (0.919, 0.704, 0.027)
O (0.650, 0.258, 0.445)
N (0.419, 0.296, 0.473)
H (0.307, 0.225, 0.239)
O (0.868, 0.211, 0.532)
H (0.000, 0.705, 0.991)
H (0.843, 0.685, 0.986)
H (0.500, 0.705, 0.491)
N (0.703, 0.201, 0.271)
Cl (0.499, 0.204, 0.795)
H (0.789, 0.217, 0.494)
N (0.192, 0.239, 0.822)
H (0.343, 0.315, 0.514)
Cl (0.362, 0.271, 0.045)
C (0.911, 0.748, 0.128)
O (0.132, 0.789, 0.468)
C (0.375, 0.773, 0.651)
N (0.308, 0.239, 0.322)
H (0.711, 0.217, 0.994)
O (0.850, 0.258, 0.945)
H (0.605, 0.363, 0.003)
H (0.105, 0.637, 0.497)
H (0.176, 0.817, 0.307)
N (0.808, 0.761, 0.178)
O (0.632, 0.211, 0.032)
N (0.692, 0.761, 0.678)
H (0.232, 0.264, 0.362)
N (0.081, 0.296, 0.973)
Cl (0.638, 0.729, 0.955)
H (0.824, 0.183, 0.693)
H (0.993, 0.832, 0.258)
Cl (0.862, 0.729, 0.455)
H (0.710, 0.205, 0.788)
H (0.790, 0.205, 0.288)
N (0.008, 0.785, 0.185)
C (0.089, 0.252, 0.872)
N (0.297, 0.799, 0.729)
Cl (0.999, 0.796, 0.705)
H (0.289, 0.783, 0.006)
H (0.395, 0.637, 0.997)
H (0.268, 0.264, 0.862)
N (0.203, 0.799, 0.229)
Cl (0.001, 0.204, 0.295)
H (0.157, 0.315, 0.014)
H (0.895, 0.363, 0.503)
C (0.875, 0.227, 0.849)
H (0.493, 0.168, 0.242)
N (0.581, 0.704, 0.527)
H (0.676, 0.183, 0.193)
H (0.500, 0.295, 0.509)
H (0.211, 0.783, 0.506)
H (0.732, 0.736, 0.138)
H (0.290, 0.795, 0.212)
N (0.992, 0.215, 0.815)
H (0.324, 0.817, 0.807)
C (0.625, 0.227, 0.349)
H (0.807, 0.775, 0.261)
Co (0.500, 0.000, 0.000)
O (0.368, 0.789, 0.968)
O (0.350, 0.742, 0.555)
H (0.000, 0.295, 0.009)

Results
M_tot (μB per cell): 6.00
Theoretical density (g/cm³): 1.750
Calculated formation energy (eV/atom): -0.66
Uncorrected energy (eV per atom): -5.6452
SG: P2_1/c


Entry from the Materials Project: an optimized crystal structure of Li12MnCoNi10O24 (GGA+U).

Cell: 5.804 5.804 14.283 Å, 89.73 89.73 59.92°
Positions (direct):
O (0.817, 0.339, 0.421)
O (0.352, 0.822, 0.909)
O (0.660, 0.660, 0.575)
Ni (0.667, 0.667, 0.834)
Li (0.832, 0.338, 0.667)
Li (0.500, 0.500, 0.000)
Li (0.832, 0.832, 0.667)
Co (0.000, 0.000, 0.500)
O (0.487, 0.021, 0.241)
Ni (0.666, 0.166, 0.834)
O (0.648, 0.178, 0.091)
O (0.488, 0.488, 0.240)
O (0.342, 0.342, 0.903)
Mn (0.500, 0.500, 0.500)
O (0.822, 0.352, 0.909)
Li (0.168, 0.168, 0.333)
Ni (0.167, 0.167, 0.833)
O (0.021, 0.487, 0.241)
O (0.159, 0.159, 0.578)
O (0.513, 0.979, 0.759)
O (0.512, 0.512, 0.760)
Li (0.662, 0.168, 0.333)
O (0.661, 0.183, 0.579)
O (0.178, 0.648, 0.091)
O (0.992, 0.992, 0.763)
O (0.008, 0.008, 0.237)
Ni (0.500, 0.000, 0.500)
Li (0.669, 0.669, 0.335)
Li (0.000, 0.000, 0.000)
O (0.841, 0.841, 0.422)
O (0.979, 0.513, 0.759)
Ni (0.334, 0.834, 0.166)
Li (0.168, 0.662, 0.333)
Li (0.500, 0.000, 0.000)
Li (0.000, 0.500, 0.000)
Ni (0.000, 0.500, 0.500)
Ni (0.834, 0.334, 0.166)
Li (0.331, 0.331, 0.665)
O (0.658, 0.658, 0.097)
O (0.339, 0.817, 0.421)
O (0.340, 0.340, 0.425)
Ni (0.833, 0.833, 0.167)
Ni (0.166, 0.666, 0.834)
O (0.177, 0.177, 0.090)
O (0.183, 0.661, 0.579)
Li (0.338, 0.832, 0.667)
Ni (0.333, 0.333, 0.166)
O (0.823, 0.823, 0.910)

Results
M_tot (μB per cell): 14.00
Theoretical density (g/cm³): 4.659
Calculated formation energy (eV/atom): -1.58
Uncorrected energy (eV per atom): -5.1284
SG: C2/m